No. 1
The following is a DFT calculation (PBE with a Hubbard U) of a geometry-optimized Eu2ZnWO6 structure.

Summary:
space group: No. 225

The structure in POSCAR format:
```
Eu2ZnWO6
1.0
0.000 4.023 4.023
4.023 0.000 4.023
4.023 4.023 0.000
Eu Zn W O
2 1 1 6
direct
0.250 0.250 0.250
0.750 0.750 0.750
0.000 0.000 0.000
0.500 0.500 0.500
0.258 0.258 0.742
0.258 0.742 0.258
0.258 0.742 0.742
0.742 0.258 0.258
0.742 0.258 0.742
0.742 0.742 0.258
```


No. 2
The following is a DFT calculation (PBE with a Hubbard U) of a geometry-optimized FeF3 structure.

Summary:
space group: No. 167

The structure in POSCAR format:
```
FeF3
1.0
2.649 1.529 4.524
-2.649 1.529 4.524
0.000 -3.058 4.524
Fe F
2 6
direct
0.000 0.000 0.000
0.500 0.500 0.500
0.162 0.750 0.338
0.250 0.662 0.838
0.338 0.162 0.750
0.662 0.838 0.250
0.750 0.338 0.162
0.838 0.250 0.662
```


No. 3
The following is a DFT calculation (PBE with a Hubbard U) of a geometry-optimized FeF3 structure.

Summary:
space group: No. 221

The structure in POSCAR format:
```
FeF3
1.0
3.911 0.000 0.000
0.000 3.911 0.000
0.000 0.000 3.911
Fe F
1 3
direct
0.000 0.000 0.000
0.000 0.000 0.500
0.000 0.500 0.000
0.500 0.000 0.000
```


No. 4
The following is a DFT calculation (PBE with a Hubbard U) of a geometry-optimized FeF3 structure.

Summary:
space group: No. 227

The structure in POSCAR format:
```
FeF3
1.0
0.000 5.241 5.241
5.241 0.000 5.241
5.241 5.241 0.000
Fe F
4 12
direct
0.000 0.000 0.000
0.000 0.000 0.500
0.000 0.500 0.000
0.500 0.000 0.000
0.061 0.061 0.689
0.061 0.689 0.061
0.061 0.689 0.689
0.311 0.311 0.939
0.311 0.939 0.311
0.311 0.939 0.939
0.689 0.061 0.061
0.689 0.061 0.689
0.689 0.689 0.061
0.939 0.311 0.311
0.939 0.311 0.939
0.939 0.939 0.311
```


No. 5
The following is a DFT calculation (PBE with a Hubbard U) of a geometry-optimized FeF4 structure.

Summary:
space group: No. 140

The structure in POSCAR format:
```
FeF4
1.0
-2.726 2.726 5.053
2.726 -2.726 5.053
2.726 2.726 -5.053
Fe F
2 8
direct
0.000 0.500 0.500
0.500 0.000 0.500
0.046 0.546 0.833
0.213 0.046 0.500
0.287 0.787 0.833
0.454 0.287 0.500
0.546 0.713 0.500
0.713 0.213 0.167
0.787 0.954 0.500
0.954 0.454 0.167
```


No. 6
The following is a DFT calculation (PBE with a Hubbard U) of a geometry-optimized Fe3F structure.

Summary:
space group: No. 221

The structure in POSCAR format:
```
Fe3F
1.0
3.846 0.000 0.000
0.000 3.846 0.000
0.000 0.000 3.846
Fe F
3 1
direct
0.000 0.000 0.500
0.000 0.500 0.000
0.500 0.000 0.000
0.500 0.500 0.500
```


no.,calculated formation energy (eV per atom)
1,-2.619
2,-2.629
3,-2.625
4,-2.625
5,-1.957
6,0.687